(1)
The following is a GGA-PBE calculation of a relaxed structure of Na2Sc3NbSi2S4O24, from the Materials Project.

Lattice parameters (Å, degrees): 8.869 8.883 23.195 89.93 89.58 60.08
Space group P1 (No. 1)
One atom of each set of equivalent atoms:
Na: 0.000 0.000 0.000 x1
Na: 0.009 0.003 0.500 x1
Na: 0.348 0.332 0.328 x1
Na: 0.362 0.319 0.840 x1
Na: 0.673 0.688 0.667 x1
Na: 0.700 0.650 0.164 x1
Sc: 0.005 0.019 0.142 x1
Sc: 0.023 0.003 0.853 x1
Sc: 0.023 0.014 0.346 x1
Sc: 0.025 0.998 0.645 x1
Sc: 0.366 0.335 0.978 x1
Sc: 0.367 0.326 0.479 x1
Sc: 0.674 0.691 0.811 x1
Sc: 0.685 0.681 0.519 x1
Sc: 0.700 0.658 0.309 x1
Nb: 0.342 0.348 0.180 x1
Nb: 0.362 0.317 0.685 x1
Nb: 0.700 0.669 0.019 x1
Si: 0.024 0.294 0.246 x1
Si: 0.068 0.632 0.077 x1
Si: 0.309 0.993 0.747 x1
Si: 0.644 0.339 0.078 x1
Si: 0.655 0.040 0.579 x1
Si: 0.686 0.968 0.913 x1
S: 0.024 0.707 0.746 x1
S: 0.065 0.337 0.581 x1
S: 0.312 0.710 0.247 x1
S: 0.355 0.623 0.580 x1
S: 0.357 0.045 0.080 x1
S: 0.395 0.960 0.414 x1
S: 0.399 0.670 0.914 x1
S: 0.687 0.378 0.415 x1
S: 0.725 0.005 0.248 x1
S: 0.729 0.295 0.746 x1
S: 0.975 0.382 0.913 x1
S: 0.981 0.670 0.414 x1
O: 0.045 0.818 0.090 x1
O: 0.050 0.180 0.587 x1
O: 0.052 0.784 0.798 x1
O: 0.055 0.179 0.305 x1
O: 0.146 0.366 0.919 x1
O: 0.151 0.361 0.633 x1
O: 0.155 0.504 0.136 x1
O: 0.155 0.512 0.420 x1
O: 0.170 0.317 0.529 x1
O: 0.176 0.533 0.021 x1
O: 0.186 0.532 0.736 x1
O: 0.190 0.034 0.804 x1
O: 0.201 0.798 0.585 x1
O: 0.203 0.311 0.239 x1
O: 0.205 0.786 0.300 x1
O: 0.208 0.019 0.089 x1
O: 0.216 0.982 0.689 x1
O: 0.220 0.974 0.410 x1
O: 0.227 0.831 0.911 x1
O: 0.233 0.811 0.196 x1
O: 0.329 0.176 0.736 x1
O: 0.330 0.543 0.528 x1
O: 0.332 0.147 0.029 x1
O: 0.333 0.530 0.242 x1
O: 0.372 0.137 0.419 x1
O: 0.372 0.518 0.632 x1
O: 0.375 0.517 0.918 x1
O: 0.383 0.129 0.133 x1
O: 0.480 0.856 0.466 x1
O: 0.488 0.686 0.966 x1
O: 0.489 0.688 0.255 x1
O: 0.500 0.878 0.362 x1
O: 0.503 0.645 0.861 x1
O: 0.506 0.833 0.749 x1
O: 0.510 0.153 0.918 x1
O: 0.515 0.634 0.575 x1
O: 0.519 0.871 0.076 x1
O: 0.520 0.362 0.137 x1
O: 0.524 0.147 0.636 x1
O: 0.527 0.364 0.418 x1
O: 0.544 0.320 0.738 x1
O: 0.551 0.164 0.242 x1
O: 0.554 0.161 0.524 x1
O: 0.557 0.306 0.024 x1
O: 0.649 0.522 0.071 x1
O: 0.661 0.853 0.576 x1
O: 0.668 0.482 0.362 x1
O: 0.668 0.868 0.857 x1
O: 0.698 0.853 0.256 x1
O: 0.704 0.838 0.970 x1
O: 0.708 0.462 0.466 x1
O: 0.708 0.468 0.752 x1
O: 0.797 0.188 0.798 x1
O: 0.808 0.028 0.300 x1
O: 0.830 0.211 0.694 x1
O: 0.832 0.974 0.196 x1
O: 0.837 0.178 0.086 x1
O: 0.841 0.201 0.409 x1
O: 0.842 0.024 0.587 x1
O: 0.858 0.491 0.254 x1
O: 0.865 0.976 0.910 x1
O: 0.866 0.469 0.967 x1
O: 0.873 0.644 0.072 x1
O: 0.873 0.691 0.467 x1
O: 0.878 0.674 0.752 x1
O: 0.888 0.484 0.862 x1
O: 0.891 0.494 0.577 x1
O: 0.897 0.648 0.363 x1
O: 0.986 0.210 0.912 x1
O: 0.995 0.814 0.694 x1
O: 0.998 0.827 0.409 x1
O: 0.999 0.203 0.191 x1

Output
E_tot, eV per atom: -7.20


(2)
The following is a GGA-PBE calculation of a relaxed structure of Na14Sc6Nb2Si9S3O48, from the Materials Project.

Lattice parameters (Å, degrees): 9.214 15.964 22.466 90.22 90.03 90.05
Space group P1 (No. 1)
One atom of each set of equivalent atoms:
Na: 0.000 0.000 0.000 x1
Na: 0.003 0.653 0.336 x1
Na: 0.007 0.325 0.680 x1
Na: 0.023 0.299 0.337 x1
Na: 0.049 0.649 0.681 x1
Na: 0.049 0.982 0.342 x1
Na: 0.063 0.317 0.004 x1
Na: 0.180 0.809 0.760 x1
Na: 0.182 0.478 0.085 x1
Na: 0.192 0.147 0.418 x1
Na: 0.194 0.145 0.923 x1
Na: 0.196 0.806 0.252 x1
Na: 0.202 0.464 0.581 x1
Na: 0.319 0.646 0.181 x1
Na: 0.342 0.987 0.845 x1
Na: 0.365 0.330 0.167 x1
Na: 0.368 0.295 0.842 x1
Na: 0.374 0.621 0.500 x1
Na: 0.379 0.651 0.847 x1
Na: 0.386 0.953 0.169 x1
Na: 0.500 0.454 0.674 x1
Na: 0.506 0.154 0.342 x1
Na: 0.512 0.124 0.999 x1
Na: 0.521 0.830 0.673 x1
Na: 0.522 0.795 0.335 x1
Na: 0.548 0.484 0.340 x1
Na: 0.567 0.149 0.686 x1
Na: 0.683 0.965 0.080 x1
Na: 0.688 0.306 0.761 x1
Na: 0.689 0.978 0.591 x1
Na: 0.690 0.642 0.421 x1
Na: 0.693 0.641 0.922 x1
Na: 0.704 0.310 0.255 x1
Na: 0.813 0.812 0.502 x1
Na: 0.829 0.150 0.174 x1
Na: 0.834 0.481 0.848 x1
Na: 0.859 0.799 0.841 x1
Na: 0.874 0.823 0.173 x1
Na: 0.877 0.158 0.842 x1
Na: 0.884 0.499 0.501 x1
Na: 0.890 0.457 0.170 x1
Na: 0.994 0.958 0.682 x1
Sc: 0.182 0.149 0.279 x1
Sc: 0.185 0.475 0.241 x1
Sc: 0.189 0.151 0.780 x1
Sc: 0.189 0.153 0.064 x1
Sc: 0.192 0.808 0.606 x1
Sc: 0.193 0.475 0.443 x1
Sc: 0.194 0.473 0.746 x1
Sc: 0.194 0.477 0.941 x1
Sc: 0.195 0.811 0.107 x1
Sc: 0.681 0.978 0.439 x1
Sc: 0.689 0.972 0.245 x1
Sc: 0.690 0.311 0.608 x1
Sc: 0.690 0.975 0.942 x1
Sc: 0.695 0.652 0.564 x1
Sc: 0.696 0.650 0.278 x1
Sc: 0.698 0.976 0.743 x1
Sc: 0.699 0.313 0.104 x1
Sc: 0.702 0.649 0.780 x1
Nb: 0.180 0.154 0.571 x1
Nb: 0.187 0.815 0.904 x1
Nb: 0.201 0.806 0.403 x1
Nb: 0.690 0.314 0.907 x1
Nb: 0.698 0.315 0.404 x1
Nb: 0.711 0.650 0.068 x1
Si: 0.041 0.331 0.842 x1
Si: 0.042 0.293 0.174 x1
Si: 0.046 0.664 0.509 x1
Si: 0.049 0.624 0.840 x1
Si: 0.340 0.294 0.677 x1
Si: 0.340 0.622 0.341 x1
Si: 0.340 0.959 0.012 x1
Si: 0.341 0.332 0.339 x1
Si: 0.395 0.978 0.339 x1
Si: 0.398 0.316 0.012 x1
Si: 0.487 0.817 0.512 x1
Si: 0.488 0.478 0.839 x1
Si: 0.542 0.832 0.838 x1
Si: 0.545 0.458 0.512 x1
Si: 0.546 0.792 0.175 x1
Si: 0.548 0.126 0.841 x1
Si: 0.834 0.123 0.341 x1
Si: 0.837 0.164 0.009 x1
Si: 0.840 0.462 0.009 x1
Si: 0.842 0.794 0.673 x1
Si: 0.842 0.832 0.344 x1
Si: 0.892 0.144 0.676 x1
Si: 0.898 0.479 0.342 x1
Si: 0.901 0.813 0.010 x1
Si: 0.984 0.311 0.510 x1
Si: 0.988 0.979 0.842 x1
Si: 0.992 0.644 0.177 x1
S: 0.044 0.999 0.174 x1
S: 0.050 0.961 0.508 x1
S: 0.335 0.001 0.672 x1
S: 0.344 0.664 0.008 x1
S: 0.397 0.644 0.673 x1
S: 0.486 0.143 0.175 x1
S: 0.540 0.162 0.509 x1
S: 0.547 0.500 0.174 x1
S: 0.840 0.499 0.673 x1
O: 0.001 0.493 0.675 x1
O: 0.010 0.139 0.337 x1
O: 0.010 0.799 0.951 x1
O: 0.013 0.137 0.617 x1
O: 0.014 0.471 0.003 x1
O: 0.015 0.159 0.008 x1
O: 0.022 0.808 0.670 x1
O: 0.022 0.824 0.352 x1
O: 0.066 0.388 0.782 x1
O: 0.074 0.235 0.233 x1
O: 0.077 0.560 0.893 x1
O: 0.079 0.394 0.504 x1
O: 0.082 0.048 0.121 x1
O: 0.084 0.910 0.562 x1
O: 0.089 0.559 0.175 x1
O: 0.090 0.891 0.849 x1
O: 0.092 0.224 0.513 x1
O: 0.093 0.727 0.451 x1
O: 0.093 0.728 0.171 x1
O: 0.103 0.039 0.229 x1
O: 0.104 0.055 0.834 x1
O: 0.107 0.920 0.454 x1
O: 0.108 0.236 0.838 x1
O: 0.108 0.912 0.173 x1
O: 0.110 0.244 0.116 x1
O: 0.112 0.711 0.568 x1
O: 0.117 0.374 0.899 x1
O: 0.118 0.573 0.505 x1
O: 0.121 0.587 0.777 x1
O: 0.122 0.046 0.513 x1
O: 0.122 0.385 0.177 x1
O: 0.128 0.718 0.850 x1
O: 0.253 0.048 0.010 x1
O: 0.254 0.376 0.393 x1
O: 0.255 0.384 0.674 x1
O: 0.260 0.585 0.281 x1
O: 0.266 0.720 0.348 x1
O: 0.267 0.902 0.954 x1
O: 0.267 0.916 0.668 x1
O: 0.268 0.238 0.617 x1
O: 0.278 0.040 0.727 x1
O: 0.278 0.581 0.004 x1
O: 0.280 0.235 0.333 x1
O: 0.284 0.057 0.332 x1
O: 0.287 0.706 0.062 x1
O: 0.288 0.394 0.006 x1
O: 0.291 0.893 0.350 x1
O: 0.295 0.053 0.619 x1
O: 0.300 0.570 0.675 x1
O: 0.303 0.906 0.072 x1
O: 0.306 0.723 0.672 x1
O: 0.307 0.226 0.008 x1
O: 0.308 0.237 0.734 x1
O: 0.309 0.567 0.399 x1
O: 0.312 0.716 0.954 x1
O: 0.331 0.389 0.279 x1
O: 0.364 0.820 0.851 x1
O: 0.369 0.802 0.170 x1
O: 0.369 0.810 0.454 x1
O: 0.372 0.138 0.835 x1
O: 0.372 0.472 0.504 x1
O: 0.377 0.151 0.512 x1
O: 0.378 0.499 0.893 x1
O: 0.386 0.494 0.174 x1
O: 0.390 0.824 0.572 x1
O: 0.393 0.148 0.229 x1
O: 0.393 0.458 0.777 x1
O: 0.395 0.134 0.121 x1
O: 0.488 0.636 0.619 x1
O: 0.490 0.651 0.727 x1
O: 0.490 0.954 0.280 x1
O: 0.494 0.321 0.073 x1
O: 0.495 0.994 0.672 x1
O: 0.502 0.998 0.394 x1
O: 0.506 0.657 0.011 x1
O: 0.512 0.973 0.004 x1
O: 0.513 0.307 0.954 x1
O: 0.514 0.638 0.336 x1
O: 0.516 0.303 0.670 x1
O: 0.521 0.319 0.351 x1
O: 0.553 0.888 0.777 x1
O: 0.568 0.213 0.454 x1
O: 0.574 0.066 0.898 x1
O: 0.575 0.727 0.508 x1
O: 0.577 0.221 0.175 x1
O: 0.577 0.738 0.235 x1
O: 0.582 0.068 0.177 x1
O: 0.583 0.405 0.572 x1
O: 0.588 0.392 0.848 x1
O: 0.588 0.552 0.121 x1
O: 0.594 0.205 0.563 x1
O: 0.600 0.895 0.507 x1
O: 0.601 0.556 0.832 x1
O: 0.604 0.539 0.229 x1
O: 0.604 0.735 0.832 x1
O: 0.608 0.079 0.505 x1
O: 0.612 0.414 0.171 x1
O: 0.616 0.735 0.118 x1
O: 0.619 0.401 0.454 x1
O: 0.622 0.221 0.849 x1
O: 0.623 0.085 0.781 x1
O: 0.629 0.884 0.174 x1
O: 0.630 0.548 0.510 x1
O: 0.630 0.876 0.891 x1
O: 0.754 0.554 0.015 x1
O: 0.755 0.217 0.351 x1
O: 0.760 0.084 0.280 x1
O: 0.760 0.885 0.677 x1
O: 0.766 0.072 0.003 x1
O: 0.768 0.874 0.402 x1
O: 0.770 0.412 0.950 x1
O: 0.772 0.208 0.069 x1
O: 0.774 0.746 0.614 x1
O: 0.776 0.737 0.338 x1
O: 0.777 0.413 0.671 x1
O: 0.780 0.539 0.727 x1
O: 0.782 0.556 0.335 x1
O: 0.791 0.228 0.671 x1
O: 0.794 0.227 0.952 x1
O: 0.794 0.391 0.349 x1
O: 0.795 0.727 0.013 x1
O: 0.797 0.059 0.674 x1
O: 0.802 0.548 0.619 x1
O: 0.806 0.896 0.003 x1
O: 0.807 0.060 0.396 x1
O: 0.809 0.406 0.068 x1
O: 0.813 0.734 0.731 x1
O: 0.819 0.890 0.284 x1
O: 0.862 0.304 0.173 x1
O: 0.862 0.322 0.848 x1
O: 0.868 0.659 0.507 x1
O: 0.873 0.641 0.836 x1
O: 0.875 0.297 0.451 x1
O: 0.875 0.637 0.118 x1
O: 0.882 0.992 0.177 x1
O: 0.886 0.316 0.569 x1
O: 0.888 0.656 0.234 x1
O: 0.889 0.995 0.899 x1
O: 0.890 0.957 0.783 x1
O: 0.890 0.970 0.506 x1
O: 0.994 0.495 0.401 x1
O: 0.996 0.457 0.284 x1
O: 0.998 0.155 0.733 x1
O: 0.998 0.818 0.070 x1

Output
E_tot, eV per atom: -7.08